Entry 1:
Material: LuAgSe2
Method: DFT, meta-GGA r2SCAN
State: relaxed

Unit cell a=4.1383 b=6.7982 c=13.5287 alpha=90.00 beta=90.00 gamma=90.00
Sites, in units of the cell vectors:
Lu (0.2732, 0.7108, 0.6291)
Lu (0.7732, 0.7892, 0.3709)
Lu (0.7268, 0.2108, 0.8709)
Lu (0.2268, 0.2892, 0.1291)
Ag (0.5076, 0.7100, 0.8769)
Ag (0.0076, 0.7900, 0.1231)
Ag (0.4924, 0.2100, 0.6231)
Ag (0.9924, 0.2900, 0.3769)
Se (0.7741, 0.9156, 0.7258)
Se (0.2741, 0.5844, 0.2742)
Se (0.2259, 0.4156, 0.7742)
Se (0.7259, 0.0844, 0.2258)
Se (0.7694, 0.5182, 0.5281)
Se (0.2694, 0.9818, 0.4719)
Se (0.2306, 0.0182, 0.9719)
Se (0.7306, 0.4818, 0.0281)

## Properties
Energy relative to the elements, meV per atom: -1386
Space group: P2_12_12_1 (19)

=====

Entry 2:
Material: LuSiAg
Method: DFT, meta-GGA r2SCAN
State: relaxed

Unit cell a=6.9005 b=6.9005 c=4.1162 alpha=90.00 beta=90.00 gamma=120.00
Sites, in units of the cell vectors:
Lu (0.4199, 0.4199, 0.5000)
Lu (0.5801, 0.0000, 0.5000)
Lu (0.0000, 0.5801, 0.5000)
Si (0.6667, 0.3333, 0.0000)
Si (0.3333, 0.6667, 0.0000)
Si (0.0000, 0.0000, 0.5000)
Ag (0.7485, 0.7485, 0.0000)
Ag (0.2515, 0.0000, 0.0000)
Ag (0.0000, 0.2515, 0.0000)

## Properties
Energy relative to the elements, meV per atom: -613
Space group: P-62m (189)

=====

Entry 3:
Material: Lu2TlAg
Method: DFT, meta-GGA r2SCAN
State: relaxed

Unit cell a=5.1079 b=5.1079 c=5.1079 alpha=60.00 beta=60.00 gamma=60.00
Sites, in units of the cell vectors:
Lu (0.0000, 0.0000, 0.0000)
Lu (0.5000, 0.5000, 0.5000)
Tl (0.7500, 0.7500, 0.7500)
Ag (0.2500, 0.2500, 0.2500)

## Properties
Energy relative to the elements, meV per atom: -387
Space group: Fm-3m (225)

=====

Entry 4:
Material: MgAg3
Method: DFT, meta-GGA r2SCAN
State: relaxed

Unit cell a=5.7972 b=5.7972 c=4.7991 alpha=90.00 beta=90.00 gamma=120.00
Sites, in units of the cell vectors:
Mg (0.6667, 0.3333, 0.2500)
Mg (0.3333, 0.6667, 0.7500)
Ag (0.1663, 0.3326, 0.2500)
Ag (0.6674, 0.8337, 0.2500)
Ag (0.1663, 0.8337, 0.2500)
Ag (0.8337, 0.1663, 0.7500)
Ag (0.3326, 0.1663, 0.7500)
Ag (0.8337, 0.6674, 0.7500)

## Properties
ΔE to the lowest computed polymorph, meV/atom: 0
Energy relative to the elements, meV per atom: -134
Space group: P6_3/mmc (194)

=====

Entry 5:
Material: MgAg3
Method: DFT, meta-GGA r2SCAN
State: relaxed

Unit cell a=5.0658 b=5.0658 c=5.0658 alpha=132.26 beta=132.26 gamma=69.81
Sites, in units of the cell vectors:
Mg (0.0000, 0.0000, 0.0000)
Ag (0.5000, 0.5000, 0.0000)
Ag (0.7500, 0.2500, 0.5000)
Ag (0.2500, 0.7500, 0.5000)

## Properties
ΔE to the lowest computed polymorph, meV/atom: 4
Energy relative to the elements, meV per atom: -130
Space group: I4/mmm (139)

=====

Entry 6:
Material: MgAg3
Method: DFT, meta-GGA r2SCAN
State: relaxed

Unit cell a=4.1184 b=4.1184 c=4.1184 alpha=90.00 beta=90.00 gamma=90.00
Sites, in units of the cell vectors:
Mg (0.0000, 0.0000, 0.0000)
Ag (0.5000, 0.5000, 0.0000)
Ag (0.5000, 0.0000, 0.5000)
Ag (0.0000, 0.5000, 0.5000)

## Properties
ΔE to the lowest computed polymorph, meV/atom: 10
Energy relative to the elements, meV per atom: -123
Space group: Pm-3m (221)

=====

Entry 7:
Material: NdMgAg2
Method: DFT, meta-GGA r2SCAN
State: relaxed

Unit cell a=5.0266 b=5.0266 c=5.0266 alpha=60.00 beta=60.00 gamma=60.00
Sites, in units of the cell vectors:
Nd (0.7500, 0.7500, 0.7500)
Mg (0.2500, 0.2500, 0.2500)
Ag (0.5000, 0.5000, 0.5000)
Ag (0.0000, 0.0000, 0.0000)

## Properties
Energy relative to the elements, meV per atom: -275
Space group: Fm-3m (225)

=====

Entry 8:
Material: Mg2AgPd
Method: DFT, meta-GGA r2SCAN
State: relaxed

Unit cell a=3.1933 b=3.1933 c=6.6102 alpha=90.00 beta=90.00 gamma=90.00
Sites, in units of the cell vectors:
Mg (0.5000, 0.5000, 0.2645)
Mg (0.5000, 0.5000, 0.7355)
Ag (0.0000, 0.0000, 0.0000)
Pd (0.0000, 0.0000, 0.5000)

## Properties
Energy relative to the elements, meV per atom: -465
Space group: P4/mmm (123)

=====

Entry 9:
Material: PrMgAg2
Method: DFT, meta-GGA r2SCAN
State: relaxed

Unit cell a=5.0554 b=5.0554 c=5.0554 alpha=60.00 beta=60.00 gamma=60.00
Sites, in units of the cell vectors:
Pr (0.7500, 0.7500, 0.7500)
Mg (0.2500, 0.2500, 0.2500)
Ag (0.5000, 0.5000, 0.5000)
Ag (0.0000, 0.0000, 0.0000)

## Properties
Energy relative to the elements, meV per atom: -264
Space group: Fm-3m (225)

=====

Entry 10:
Material: PrMgAg
Method: DFT, meta-GGA r2SCAN
State: relaxed

Unit cell a=7.7694 b=7.7694 c=4.3818 alpha=90.00 beta=90.00 gamma=120.00
Sites, in units of the cell vectors:
Pr (0.4162, 0.4162, 0.5000)
Pr (0.5838, 0.0000, 0.5000)
Pr (0.0000, 0.5838, 0.5000)
Mg (0.7638, 0.7638, 0.0000)
Mg (0.2362, 0.0000, 0.0000)
Mg (0.0000, 0.2362, 0.0000)
Ag (0.6667, 0.3333, 0.0000)
Ag (0.3333, 0.6667, 0.0000)
Ag (0.0000, 0.0000, 0.5000)

## Properties
Energy relative to the elements, meV per atom: -253
Space group: P-62m (189)

=====

Entry 11:
Material: MgAgSb
Method: DFT, meta-GGA r2SCAN
State: relaxed

Unit cell a=4.6055 b=4.6055 c=4.6055 alpha=60.00 beta=60.00 gamma=60.00
Sites, in units of the cell vectors:
Mg (0.5000, 0.5000, 0.5000)
Ag (0.7500, 0.7500, 0.7500)
Sb (0.0000, 0.0000, 0.0000)

## Properties
Energy relative to the elements, meV per atom: -264
Space group: F-43m (216)

=====

Entry 12:
Material: YMgAg
Method: DFT, meta-GGA r2SCAN
State: relaxed

Unit cell a=7.7482 b=7.7482 c=4.0636 alpha=90.00 beta=90.00 gamma=120.00
Sites, in units of the cell vectors:
Y (0.4130, 0.4130, 0.5000)
Y (0.0000, 0.5870, 0.5000)
Y (0.5870, 0.0000, 0.5000)
Mg (0.7533, 0.7533, 0.0000)
Mg (0.2467, 0.0000, 0.0000)
Mg (0.0000, 0.2467, 0.0000)
Ag (0.6667, 0.3333, 0.0000)
Ag (0.3333, 0.6667, 0.0000)
Ag (0.0000, 0.0000, 0.5000)

## Properties
Energy relative to the elements, meV per atom: -288
Space group: P-62m (189)

=====

Entry 13:
Material: MnAgO2
Method: DFT, meta-GGA r2SCAN
State: relaxed

Unit cell a=3.1374 b=5.1311 c=12.4263 alpha=90.00 beta=90.00 gamma=94.88
Sites, in units of the cell vectors:
Mn (0.4994, 0.5001, 0.5000)
Mn (0.0006, 0.0000, 0.0000)
Mn (0.9994, 0.0001, 0.5000)
Mn (0.5006, 0.4999, 0.0000)
Ag (0.0544, 0.3120, 0.2500)
Ag (0.5544, 0.8121, 0.2500)
Ag (0.4456, 0.1879, 0.7500)
Ag (0.9456, 0.6879, 0.7500)
O (0.0424, 0.3181, 0.0823)
O (0.5419, 0.8183, 0.0822)
O (0.4592, 0.1816, 0.9178)
O (0.9587, 0.6818, 0.9178)
O (0.4577, 0.1819, 0.5822)
O (0.9582, 0.6818, 0.5821)
O (0.0406, 0.3184, 0.4179)
O (0.5411, 0.8182, 0.4178)

## Properties
Energy relative to the elements, meV per atom: -1470

=====

Entry 14:
Material: MnAgO2
Method: DFT, meta-GGA r2SCAN
State: relaxed

Unit cell a=2.9032 b=3.1309 c=6.3486 alpha=100.55 beta=90.00 gamma=117.62
Sites, in units of the cell vectors:
Mn (0.5000, 0.0000, 0.5000)
Ag (0.0000, 0.0000, 0.0000)
O (0.1010, 0.2020, 0.3356)
O (0.8990, 0.7980, 0.6644)

## Properties
Energy relative to the elements, meV per atom: -1457
Space group: C2/m (12)

=====

Entry 15:
Material: YbAgMo2O8
Method: DFT, meta-GGA r2SCAN
State: relaxed

Unit cell a=6.6853 b=6.6853 c=6.6853 alpha=134.62 beta=134.62 gamma=66.12
Sites, in units of the cell vectors:
Yb (0.5000, 0.5000, 0.0000)
Ag (0.7500, 0.2500, 0.5000)
Mo (0.2500, 0.7500, 0.5000)
Mo (0.0000, 0.0000, 0.0000)
O (0.7513, 0.6741, 0.5856)
O (0.0885, 0.1657, 0.4144)
O (0.8343, 0.2487, 0.9228)
O (0.3259, 0.9115, 0.0772)
O (0.1971, 0.5961, 0.1116)
O (0.4845, 0.0855, 0.8884)
O (0.9145, 0.8029, 0.3990)
O (0.4039, 0.5155, 0.6010)

## Properties
Energy relative to the elements, meV per atom: -2368
Space group: I-4 (82)

=====

Entry 16:
Material: AgMo3Se3
Method: DFT, meta-GGA r2SCAN
State: relaxed

Unit cell a=4.4906 b=8.4639 c=8.4624 alpha=120.00 beta=90.00 gamma=90.00
Sites, in units of the cell vectors:
Ag (0.7500, 0.3332, 0.6664)
Ag (0.2500, 0.6669, 0.3333)
Mo (0.7500, 0.0578, 0.8549)
Mo (0.7500, 0.1450, 0.2030)
Mo (0.7500, 0.7970, 0.9421)
Mo (0.2500, 0.9421, 0.1451)
Mo (0.2500, 0.8549, 0.7971)
Mo (0.2500, 0.2029, 0.0579)
Se (0.7500, 0.7109, 0.6001)
Se (0.7500, 0.3998, 0.1109)
Se (0.7500, 0.8892, 0.2891)
Se (0.2500, 0.2891, 0.3999)
Se (0.2500, 0.6001, 0.8891)
Se (0.2500, 0.1109, 0.7111)

## Properties
Energy relative to the elements, meV per atom: -399
Space group: P6_3/m (176)

=====

Entry 17:
Material: AgTe6Mo6
Method: DFT, meta-GGA r2SCAN
State: relaxed

Unit cell a=4.5864 b=9.3804 c=9.5443 alpha=119.62 beta=90.00 gamma=104.15
Sites, in units of the cell vectors:
Ag (0.0000, 0.0000, 0.0000)
Te (0.1194, 0.2389, 0.6355)
Te (0.5426, 0.0853, 0.2517)
Te (0.4574, 0.9147, 0.7483)
Te (0.8208, 0.6415, 0.8936)
Te (0.1792, 0.3585, 0.1064)
Te (0.8806, 0.7611, 0.3645)
Mo (0.7150, 0.4301, 0.3169)
Mo (0.2850, 0.5699, 0.6831)
Mo (0.8458, 0.6916, 0.6204)
Mo (0.1542, 0.3084, 0.3796)
Mo (0.6880, 0.3761, 0.5642)
Mo (0.3120, 0.6239, 0.4358)

## Properties
Energy relative to the elements, meV per atom: -265
Space group: C2/m (12)

=====

Entry 18:
Material: NaAgO
Method: DFT, meta-GGA r2SCAN
State: relaxed

Unit cell a=7.0374 b=7.0374 c=7.0374 alpha=96.10 beta=96.10 gamma=141.96
Sites, in units of the cell vectors:
Na (0.7502, 0.9093, 0.1591)
Na (0.7502, 0.5910, 0.8409)
Na (0.0907, 0.2498, 0.8409)
Na (0.4090, 0.2498, 0.1591)
Ag (0.4083, 0.5917, 0.5000)
Ag (0.0917, 0.9083, 0.5000)
Ag (0.4083, 0.9083, 0.8165)
Ag (0.0917, 0.5917, 0.1835)
O (0.2503, 0.0603, 0.8100)
O (0.2503, 0.4403, 0.1900)
O (0.9397, 0.7497, 0.1900)
O (0.5597, 0.7497, 0.8100)

## Properties
Energy relative to the elements, meV per atom: -930
Space group: I4/mmm (139)

=====

Entry 19:
Material: NaAg3O2
Method: DFT, meta-GGA r2SCAN
State: relaxed

Unit cell a=5.9559 b=6.1084 c=6.7351 alpha=116.97 beta=116.24 gamma=90.00
Sites, in units of the cell vectors:
Na (0.7500, 0.5000, 0.0000)
Na (0.2500, 0.5000, 0.0000)
Ag (0.0000, 0.5000, 0.5000)
Ag (0.5000, 0.0000, 0.5000)
Ag (0.5000, 0.5000, 0.5000)
Ag (0.5000, 0.0000, 0.0000)
Ag (0.0000, 0.0000, 0.0000)
Ag (0.0000, 0.0000, 0.5000)
O (0.6103, 0.8206, 0.2207)
O (0.1103, 0.4001, 0.2207)
O (0.8897, 0.5999, 0.7793)
O (0.3897, 0.1794, 0.7793)

## Properties
Energy relative to the elements, meV per atom: -590
Space group: Ibam (72)

=====

Entry 20:
Material: NaAgTe5O14
Method: DFT, meta-GGA r2SCAN
State: relaxed

Unit cell a=24.6894 b=6.6717 c=7.3294 alpha=68.98 beta=90.00 gamma=90.00
Sites, in units of the cell vectors:
Na (0.3736, 0.9490, 0.7636)
Na (0.6264, 0.0510, 0.2364)
Na (0.8736, 0.0510, 0.7364)
Na (0.1264, 0.9490, 0.2636)
Ag (0.0660, 0.4791, 0.6512)
Ag (0.9340, 0.5209, 0.3488)
Ag (0.5660, 0.5209, 0.8488)
Ag (0.4340, 0.4791, 0.1512)
Te (0.1253, 0.9318, 0.7726)
Te (0.8747, 0.0682, 0.2274)
Te (0.6253, 0.0682, 0.7274)
Te (0.3747, 0.9318, 0.2726)
Te (0.3115, 0.3994, 0.8954)
Te (0.6885, 0.6006, 0.1046)
Te (0.8115, 0.6006, 0.6046)
Te (0.1885, 0.3994, 0.3954)
Te (0.2509, 0.8669, 0.5510)
Te (0.7491, 0.1331, 0.4490)
Te (0.7509, 0.1331, 0.9490)
Te (0.2491, 0.8669, 0.0510)
Te (0.4292, 0.4695, 0.6684)
Te (0.5708, 0.5305, 0.3316)
Te (0.9292, 0.5305, 0.8316)
Te (0.0708, 0.4695, 0.1684)
Te (0.5000, 0.0000, 0.0000)
Te (0.0000, 0.0000, 0.5000)
Te (0.5000, 0.0000, 0.5000)
Te (0.0000, 0.0000, 0.0000)
O (0.1046, 0.6430, 0.9090)
O (0.8954, 0.3570, 0.0910)
O (0.6046, 0.3570, 0.5910)
O (0.3954, 0.6430, 0.4090)
O (0.2635, 0.5697, 0.6356)
O (0.7365, 0.4303, 0.3644)
O (0.7635, 0.4303, 0.8644)
O (0.2365, 0.5697, 0.1356)
O (0.9819, 0.7087, 0.5598)
O (0.0181, 0.2913, 0.4402)
O (0.4819, 0.2913, 0.9402)
O (0.5181, 0.7087, 0.0598)
O (0.2760, 0.8696, 0.8020)
O (0.7240, 0.1304, 0.1980)
O (0.7760, 0.1304, 0.6980)
O (0.2240, 0.8696, 0.3020)
O (0.1741, 0.9219, 0.9814)
O (0.8259, 0.0781, 0.0186)
O (0.6741, 0.0781, 0.5187)
O (0.3259, 0.9219, 0.4814)
O (0.9742, 0.9752, 0.7597)
O (0.0258, 0.0248, 0.2403)
O (0.4742, 0.0248, 0.7403)
O (0.5258, 0.9752, 0.2597)
O (0.1427, 0.2216, 0.6385)
O (0.8573, 0.7784, 0.3615)
O (0.6427, 0.7784, 0.8615)
O (0.3573, 0.2216, 0.1385)
O (0.7571, 0.8272, 0.5421)
O (0.2429, 0.1728, 0.4579)
O (0.2571, 0.1728, 0.9579)
O (0.7429, 0.8272, 0.0421)
O (0.9252, 0.9606, 0.0796)
O (0.0748, 0.0394, 0.9204)
O (0.4252, 0.0394, 0.4204)
O (0.5748, 0.9606, 0.5796)
O (0.4929, 0.6946, 0.6070)
O (0.5071, 0.3054, 0.3930)
O (0.9929, 0.3054, 0.8930)
O (0.0071, 0.6946, 0.1070)
O (0.8545, 0.7112, 0.7601)
O (0.1455, 0.2888, 0.2399)
O (0.3545, 0.2888, 0.7399)
O (0.6455, 0.7112, 0.2601)
O (0.1760, 0.8232, 0.6288)
O (0.8240, 0.1768, 0.3712)
O (0.6760, 0.1768, 0.8712)
O (0.3240, 0.8232, 0.1288)
O (0.0751, 0.9216, 0.5728)
O (0.9249, 0.0784, 0.4272)
O (0.5751, 0.0784, 0.9272)
O (0.4249, 0.9216, 0.0728)
O (0.3955, 0.6049, 0.8200)
O (0.6045, 0.3951, 0.1800)
O (0.8955, 0.3951, 0.6800)
O (0.1045, 0.6049, 0.3200)

## Properties
Energy relative to the elements, meV per atom: -1103
Space group: P2_1/c (14)